No. 1
{"formula": "SrLaCuSe3", "functional": "PBE-GGA", "state": "relaxed", "e_form_ev_per_fu": -10.87, "lattice": [[8.566, 0.000, 0.000], [0.000, 4.296, 0.000], [0.000, 0.000, 16.614]], "species": ["Sr", "Sr", "Sr", "Sr", "La", "La", "La", "La", "Cu", "Cu", "Cu", "Cu", "Se", "Se", "Se", "Se", "Se", "Se", "Se", "Se", "Se", "Se", "Se", "Se"], "frac_coords": [[0.091, 0.250, 0.216], [0.409, 0.750, 0.716], [0.591, 0.250, 0.284], [0.909, 0.750, 0.784], [0.242, 0.750, 0.460], [0.258, 0.250, 0.960], [0.742, 0.750, 0.040], [0.758, 0.250, 0.540], [0.122, 0.250, 0.634], [0.378, 0.750, 0.134], [0.622, 0.250, 0.866], [0.878, 0.750, 0.366], [0.008, 0.250, 0.403], [0.123, 0.750, 0.064], [0.178, 0.250, 0.781], [0.322, 0.750, 0.281], [0.377, 0.250, 0.564], [0.492, 0.750, 0.903], [0.508, 0.250, 0.097], [0.623, 0.750, 0.436], [0.678, 0.250, 0.719], [0.822, 0.750, 0.219], [0.877, 0.250, 0.936], [0.992, 0.750, 0.597]]}

No. 2
{"formula": "Al2O3", "functional": "PBE-GGA", "state": "relaxed", "e_form_ev_per_fu": -14.96, "lattice": [[10.174, 0.000, 0.000], [0.427, 10.428, 0.000], [1.540, 0.303, 10.507]], "species": ["Al", "Al", "Al", "Al", "Al", "Al", "Al", "Al", "Al", "Al", "Al", "Al", "Al", "Al", "Al", "Al", "Al", "Al", "Al", "Al", "Al", "Al", "Al", "Al", "Al", "Al", "Al", "Al", "Al", "Al", "Al", "Al", "Al", "Al", "Al", "Al", "Al", "Al", "Al", "Al", "O", "O", "O", "O", "O", "O", "O", "O", "O", "O", "O", "O", "O", "O", "O", "O", "O", "O", "O", "O", "O", "O", "O", "O", "O", "O", "O", "O", "O", "O", "O", "O", "O", "O", "O", "O", "O", "O", "O", "O", "O", "O", "O", "O", "O", "O", "O", "O", "O", "O", "O", "O", "O", "O", "O", "O", "O", "O", "O", "O"], "frac_coords": [[0.000, 0.000, 0.000], [0.006, 0.683, 0.157], [0.072, 0.179, 0.255], [0.096, 0.921, 0.227], [0.158, 0.640, 0.580], [0.187, 0.773, 0.873], [0.215, 0.103, 0.562], [0.221, 0.523, 0.072], [0.223, 0.371, 0.621], [0.262, 0.401, 0.321], [0.277, 0.737, 0.284], [0.286, 0.069, 0.794], [0.301, 0.328, 0.910], [0.356, 0.887, 0.509], [0.382, 0.129, 0.298], [0.384, 0.575, 0.765], [0.442, 0.891, 0.139], [0.463, 0.886, 0.901], [0.482, 0.520, 0.108], [0.498, 0.234, 0.507], [0.543, 0.339, 0.712], [0.576, 0.768, 0.366], [0.612, 0.354, 0.262], [0.659, 0.104, 0.166], [0.659, 0.535, 0.541], [0.669, 0.655, 0.771], [0.687, 0.358, 0.961], [0.693, 0.064, 0.677], [0.729, 0.929, 0.904], [0.747, 0.610, 0.235], [0.801, 0.584, 0.949], [0.807, 0.895, 0.211], [0.836, 0.299, 0.483], [0.847, 0.014, 0.424], [0.850, 0.770, 0.527], [0.912, 0.448, 0.682], [0.955, 0.412, 0.277], [0.962, 0.905, 0.694], [0.986, 0.153, 0.748], [0.993, 0.308, 0.998], [0.002, 0.295, 0.395], [0.002, 0.752, 0.604], [0.018, 0.034, 0.350], [0.039, 0.884, 0.856], [0.053, 0.039, 0.623], [0.083, 0.487, 0.667], [0.091, 0.062, 0.117], [0.100, 0.745, 0.275], [0.137, 0.665, 0.010], [0.138, 0.465, 0.224], [0.142, 0.394, 0.965], [0.171, 0.205, 0.715], [0.241, 0.229, 0.272], [0.241, 0.485, 0.474], [0.242, 0.672, 0.727], [0.261, 0.751, 0.471], [0.269, 0.898, 0.193], [0.288, 0.914, 0.882], [0.300, 0.025, 0.419], [0.311, 0.988, 0.647], [0.318, 0.249, 0.518], [0.334, 0.618, 0.158], [0.344, 0.170, 0.896], [0.346, 0.403, 0.743], [0.375, 0.443, 0.995], [0.401, 0.676, 0.897], [0.432, 0.402, 0.246], [0.448, 0.781, 0.274], [0.495, 0.044, 0.181], [0.496, 0.749, 0.795], [0.527, 0.868, 0.491], [0.534, 0.200, 0.345], [0.539, 0.167, 0.653], [0.556, 0.530, 0.711], [0.564, 0.382, 0.540], [0.596, 0.978, 0.814], [0.625, 0.530, 0.959], [0.632, 0.292, 0.833], [0.636, 0.508, 0.181], [0.636, 0.612, 0.396], [0.655, 0.264, 0.109], [0.691, 0.778, 0.219], [0.716, 0.686, 0.603], [0.741, 0.761, 0.881], [0.761, 0.046, 0.281], [0.765, 0.992, 0.051], [0.766, 0.355, 0.336], [0.774, 0.144, 0.524], [0.815, 0.926, 0.594], [0.816, 0.455, 0.551], [0.824, 0.561, 0.782], [0.839, 0.030, 0.788], [0.848, 0.843, 0.374], [0.855, 0.401, 0.960], [0.868, 0.637, 0.077], [0.907, 0.578, 0.287], [0.909, 0.282, 0.680], [0.969, 0.863, 0.124], [0.976, 0.287, 0.162], [0.992, 0.156, 0.918]]}

No. 3
{"formula": "TbInCu2", "functional": "PBE-GGA", "state": "relaxed", "e_form_ev_per_fu": -1.30, "lattice": [[0.000, 3.325, 3.325], [3.325, 0.000, 3.325], [3.325, 3.325, 0.000]], "species": ["Tb", "In", "Cu", "Cu"], "frac_coords": [[0.000, 0.000, 0.000], [0.500, 0.500, 0.500], [0.250, 0.250, 0.250], [0.750, 0.750, 0.750]]}

> Which formula does entry 2 have?

Al2O3